Entry 1:
VASP calculation (PBE-GGA) on a relaxed structure of ZnS.

* size of the total moment: 0.000 μB/atom
* energy of formation from the pure elements: -1049.9 meV/atom

Unit cell a=3.8541 b=3.8541 c=75.5564 alpha=90.00 beta=90.00 gamma=120.00
Space group R3m (No. 160, hexagonal axes)
Asymmetric unit:
Zn 0.0000 0.0000 0.0000 (multiplicity 3)
Zn 0.0000 0.0000 0.0833 (multiplicity 3)
Zn 0.0000 0.0000 0.1667 (multiplicity 3)
Zn 0.0000 0.0000 0.2500 (multiplicity 3)
Zn 0.0000 0.0000 0.3750 (multiplicity 3)
Zn 0.0000 0.0000 0.4583 (multiplicity 3)
Zn 0.0000 0.0000 0.5417 (multiplicity 3)
Zn 0.0000 0.0000 0.6250 (multiplicity 3)
S 0.0000 0.0000 0.0521 (multiplicity 3)
S 0.0000 0.0000 0.1354 (multiplicity 3)
S 0.0000 0.0000 0.2188 (multiplicity 3)
S 0.0000 0.0000 0.3438 (multiplicity 3)
S 0.0000 0.0000 0.4271 (multiplicity 3)
S 0.0000 0.0000 0.5104 (multiplicity 3)
S 0.0000 0.0000 0.5938 (multiplicity 3)
S 0.0000 0.0000 0.9688 (multiplicity 3)



Entry 2:
VASP calculation (PBE-GGA) on a relaxed structure of ZnS.

* size of the total moment: 0.000 μB/atom
* energy of formation from the pure elements: -650.7 meV/atom

Unit cell a=12.791 b=13.629 c=13.722 alpha=93.10 beta=90.34 gamma=94.00
Space group P1 (No. 1)
Asymmetric unit:
Zn 0.000 0.000 0.000 (multiplicity 1)
Zn 0.000 0.737 0.941 (multiplicity 1)
Zn 0.004 0.745 0.374 (multiplicity 1)
Zn 0.016 0.786 0.154 (multiplicity 1)
Zn 0.021 0.844 0.636 (multiplicity 1)
Zn 0.022 0.351 0.213 (multiplicity 1)
Zn 0.032 0.452 0.364 (multiplicity 1)
Zn 0.072 0.357 0.872 (multiplicity 1)
Zn 0.096 0.612 0.743 (multiplicity 1)
Zn 0.153 0.224 0.101 (multiplicity 1)
Zn 0.169 0.405 0.110 (multiplicity 1)
Zn 0.201 0.335 0.731 (multiplicity 1)
Zn 0.253 0.844 0.103 (multiplicity 1)
Zn 0.269 0.344 0.483 (multiplicity 1)
Zn 0.272 0.057 0.515 (multiplicity 1)
Zn 0.282 0.829 0.323 (multiplicity 1)
Zn 0.286 0.082 0.269 (multiplicity 1)
Zn 0.297 0.585 0.959 (multiplicity 1)
Zn 0.318 0.647 0.183 (multiplicity 1)
Zn 0.320 0.238 0.023 (multiplicity 1)
Zn 0.330 0.436 0.846 (multiplicity 1)
Zn 0.350 0.566 0.433 (multiplicity 1)
Zn 0.410 0.635 0.807 (multiplicity 1)
Zn 0.455 0.926 0.714 (multiplicity 1)
Zn 0.466 0.231 0.537 (multiplicity 1)
Zn 0.491 0.468 0.671 (multiplicity 1)
Zn 0.495 0.438 0.050 (multiplicity 1)
Zn 0.511 0.761 0.664 (multiplicity 1)
Zn 0.521 0.979 0.112 (multiplicity 1)
Zn 0.525 0.413 0.321 (multiplicity 1)
Zn 0.532 0.791 0.848 (multiplicity 1)
Zn 0.548 0.716 0.070 (multiplicity 1)
Zn 0.552 0.185 0.929 (multiplicity 1)
Zn 0.566 0.804 0.324 (multiplicity 1)
Zn 0.583 0.226 0.185 (multiplicity 1)
Zn 0.590 0.072 0.415 (multiplicity 1)
Zn 0.614 0.609 0.504 (multiplicity 1)
Zn 0.626 0.615 0.859 (multiplicity 1)
Zn 0.724 0.834 0.516 (multiplicity 1)
Zn 0.734 0.313 0.490 (multiplicity 1)
Zn 0.752 0.371 0.810 (multiplicity 1)
Zn 0.785 0.564 0.376 (multiplicity 1)
Zn 0.802 0.780 0.748 (multiplicity 1)
Zn 0.805 0.849 0.122 (multiplicity 1)
Zn 0.829 0.148 0.242 (multiplicity 1)
Zn 0.846 0.244 0.012 (multiplicity 1)
Zn 0.909 0.052 0.545 (multiplicity 1)
Zn 0.925 0.153 0.407 (multiplicity 1)
Zn 0.970 0.031 0.261 (multiplicity 1)
Zn 0.973 0.334 0.623 (multiplicity 1)
S 0.022 0.219 0.967 (multiplicity 1)
S 0.032 0.093 0.872 (multiplicity 1)
S 0.055 0.478 0.000 (multiplicity 1)
S 0.097 0.210 0.639 (multiplicity 1)
S 0.103 0.871 0.022 (multiplicity 1)
S 0.113 0.475 0.634 (multiplicity 1)
S 0.116 0.600 0.920 (multiplicity 1)
S 0.125 0.798 0.503 (multiplicity 1)
S 0.127 0.133 0.239 (multiplicity 1)
S 0.159 0.195 0.497 (multiplicity 1)
S 0.160 0.720 0.230 (multiplicity 1)
S 0.175 0.489 0.492 (multiplicity 1)
S 0.181 0.923 0.429 (multiplicity 1)
S 0.184 0.944 0.735 (multiplicity 1)
S 0.247 0.833 0.804 (multiplicity 1)
S 0.257 0.705 0.716 (multiplicity 1)
S 0.312 0.032 0.677 (multiplicity 1)
S 0.326 0.496 0.100 (multiplicity 1)
S 0.352 0.413 0.349 (multiplicity 1)
S 0.359 0.942 0.210 (multiplicity 1)
S 0.370 0.735 0.034 (multiplicity 1)
S 0.371 0.336 0.632 (multiplicity 1)
S 0.399 0.703 0.333 (multiplicity 1)
S 0.400 0.121 0.409 (multiplicity 1)
S 0.439 0.325 0.921 (multiplicity 1)
S 0.448 0.601 0.577 (multiplicity 1)
S 0.469 0.927 0.935 (multiplicity 1)
S 0.473 0.138 0.075 (multiplicity 1)
S 0.549 0.026 0.843 (multiplicity 1)
S 0.580 0.912 0.462 (multiplicity 1)
S 0.600 0.389 0.177 (multiplicity 1)
S 0.609 0.572 0.019 (multiplicity 1)
S 0.620 0.847 0.164 (multiplicity 1)
S 0.633 0.188 0.550 (multiplicity 1)
S 0.650 0.101 0.260 (multiplicity 1)
S 0.652 0.487 0.743 (multiplicity 1)
S 0.659 0.452 0.437 (multiplicity 1)
S 0.682 0.715 0.630 (multiplicity 1)
S 0.693 0.703 0.380 (multiplicity 1)
S 0.707 0.777 0.887 (multiplicity 1)
S 0.724 0.232 0.891 (multiplicity 1)
S 0.849 0.297 0.170 (multiplicity 1)
S 0.860 0.911 0.626 (multiplicity 1)
S 0.863 0.014 0.102 (multiplicity 1)
S 0.880 0.707 0.063 (multiplicity 1)
S 0.909 0.322 0.466 (multiplicity 1)
S 0.928 0.397 0.772 (multiplicity 1)
S 0.930 0.863 0.287 (multiplicity 1)
S 0.949 0.594 0.422 (multiplicity 1)
S 0.978 0.738 0.765 (multiplicity 1)



Entry 3:
VASP calculation (PBE-GGA) on a relaxed structure of ZnS.

* size of the total moment: 0.000 μB/atom
* energy of formation from the pure elements: -1051.8 meV/atom

Unit cell a=3.8587 b=3.8587 c=113.2779 alpha=90.00 beta=90.00 gamma=120.00
Space group R3m (No. 160, hexagonal axes)
Asymmetric unit:
Zn 0.0000 0.0000 0.0000 (multiplicity 3)
Zn 0.0000 0.0000 0.0556 (multiplicity 3)
Zn 0.0000 0.0000 0.1111 (multiplicity 3)
Zn 0.0000 0.0000 0.1945 (multiplicity 3)
Zn 0.0000 0.0000 0.2778 (multiplicity 3)
Zn 0.0000 0.0000 0.3611 (multiplicity 3)
Zn 0.0000 0.0000 0.4722 (multiplicity 3)
Zn 0.0000 0.0000 0.5556 (multiplicity 3)
Zn 0.0000 0.0000 0.6389 (multiplicity 3)
Zn 0.0000 0.0000 0.7500 (multiplicity 3)
Zn 0.0000 0.0000 0.8333 (multiplicity 3)
Zn 0.0000 0.0000 0.9167 (multiplicity 3)
S 0.0000 0.0000 0.0348 (multiplicity 3)
S 0.0000 0.0000 0.0903 (multiplicity 3)
S 0.0000 0.0000 0.1736 (multiplicity 3)
S 0.0000 0.0000 0.2570 (multiplicity 3)
S 0.0000 0.0000 0.3403 (multiplicity 3)
S 0.0000 0.0000 0.4514 (multiplicity 3)
S 0.0000 0.0000 0.5347 (multiplicity 3)
S 0.0000 0.0000 0.6181 (multiplicity 3)
S 0.0000 0.0000 0.7292 (multiplicity 3)
S 0.0000 0.0000 0.8125 (multiplicity 3)
S 0.0000 0.0000 0.8959 (multiplicity 3)
S 0.0000 0.0000 0.9792 (multiplicity 3)



Entry 4:
VASP calculation (PBE-GGA) on a relaxed structure of ZnS.

* energy of formation from the pure elements: -1062.4 meV/atom

Unit cell a=3.8543 b=3.8543 c=56.6748 alpha=90.00 beta=90.00 gamma=120.00
Space group P3m1 (No. 156)
Asymmetric unit:
Zn 0.0000 0.0000 0.0000 (multiplicity 1)
Zn 0.0000 0.0000 0.1111 (multiplicity 1)
Zn 0.0000 0.0000 0.3333 (multiplicity 1)
Zn 0.0000 0.0000 0.5000 (multiplicity 1)
Zn 0.0000 0.0000 0.6667 (multiplicity 1)
Zn 0.0000 0.0000 0.8333 (multiplicity 1)
Zn 0.3333 0.6667 0.0556 (multiplicity 1)
Zn 0.3333 0.6667 0.2222 (multiplicity 1)
Zn 0.3333 0.6667 0.3889 (multiplicity 1)
Zn 0.3333 0.6667 0.5556 (multiplicity 1)
Zn 0.3333 0.6667 0.7222 (multiplicity 1)
Zn 0.3333 0.6667 0.8889 (multiplicity 1)
Zn 0.6667 0.3333 0.1667 (multiplicity 1)
Zn 0.6667 0.3333 0.2778 (multiplicity 1)
Zn 0.6667 0.3333 0.4444 (multiplicity 1)
Zn 0.6667 0.3333 0.6111 (multiplicity 1)
Zn 0.6667 0.3333 0.7778 (multiplicity 1)
Zn 0.6667 0.3333 0.9444 (multiplicity 1)
S 0.0000 0.0000 0.0416 (multiplicity 1)
S 0.0000 0.0000 0.1528 (multiplicity 1)
S 0.0000 0.0000 0.3750 (multiplicity 1)
S 0.0000 0.0000 0.5417 (multiplicity 1)
S 0.0000 0.0000 0.7083 (multiplicity 1)
S 0.0000 0.0000 0.8750 (multiplicity 1)
S 0.3333 0.6667 0.0973 (multiplicity 1)
S 0.3333 0.6667 0.2639 (multiplicity 1)
S 0.3333 0.6667 0.4306 (multiplicity 1)
S 0.3333 0.6667 0.5972 (multiplicity 1)
S 0.3333 0.6667 0.7639 (multiplicity 1)
S 0.3333 0.6667 0.9306 (multiplicity 1)
S 0.6667 0.3333 0.2083 (multiplicity 1)
S 0.6667 0.3333 0.3194 (multiplicity 1)
S 0.6667 0.3333 0.4861 (multiplicity 1)
S 0.6667 0.3333 0.6528 (multiplicity 1)
S 0.6667 0.3333 0.8195 (multiplicity 1)
S 0.6667 0.3333 0.9861 (multiplicity 1)



Question: Which of these has the highest energy of formation from the pure elements?
Answer: number 2



Question: Look up the energy of formation from the pure elements of the fourth one.
Answer: -1062.4 meV/atom



Question: Which value of energy of formation from the pure elements does entry 1 give?
Answer: -1049.9 meV/atom



Question: Which of these has the lowest energy of formation from the pure elements?
Answer: number 4